[1]
Crystalline Li4MnCo2O7 at its relaxed geometry, computed with PBE with a Hubbard U.

Lattice parameters (Å, degrees): 3.0219 6.4156 13.6647 83.17 86.42 76.67
Fractional positions:
Li 0.0000 0.0000 0.0000
Li 0.0007 0.4984 0.4985
Li 0.1371 0.4313 0.2860
Li 0.2932 0.8524 0.5673
Li 0.4337 0.2835 0.8559
Li 0.5709 0.7107 0.1437
Li 0.7101 0.1433 0.4298
Li 0.8675 0.5600 0.7125
Mn 0.1463 0.9302 0.7822
Mn 0.7099 0.6398 0.9289
Co 0.2856 0.3501 0.0732
Co 0.4322 0.7730 0.3632
Co 0.5768 0.2252 0.6337
Co 0.8598 0.0644 0.2165
O 0.0239 0.7631 0.2540
O 0.1159 0.6602 0.0349
O 0.1621 0.1806 0.5434
O 0.3083 0.6202 0.8223
O 0.3112 0.0803 0.3196
O 0.4180 0.0451 0.1103
O 0.4363 0.5041 0.6114
O 0.5503 0.9504 0.8894
O 0.5635 0.4932 0.3857
O 0.7276 0.9151 0.6777
O 0.7371 0.3721 0.1768
O 0.8378 0.3320 0.9676
O 0.8425 0.8160 0.4538
O 0.9864 0.2343 0.7441

Computed properties:
Space-group type: P1
Energy above the lowest structure with this stoichiometry, eV/atom: 0.077
Formation enthalpy at 0 K, eV/atom: -1.81
Magnetization, μB/atom: 0.500

[2]
Crystalline Li7Mn2Co3O12 at its relaxed geometry, computed with PBE with a Hubbard U.

Lattice parameters (Å, degrees): 8.3223 2.9133 9.7579 90.00 115.08 90.00
Fractional positions:
Li 0.0000 0.0000 0.0000
Li 0.0000 0.5000 0.5000
Li 0.1635 0.0000 0.3249
Li 0.3165 0.5000 0.1647
Li 0.5000 0.0000 0.0000
Li 0.6835 0.5000 0.8353
Li 0.8365 0.0000 0.6751
Mn 0.1569 0.5000 0.8367
Mn 0.8431 0.5000 0.1633
Co 0.3365 0.0000 0.6691
Co 0.5000 0.5000 0.5000
Co 0.6635 0.0000 0.3309
O 0.0653 0.5000 0.1697
O 0.0954 0.0000 0.6843
O 0.2419 0.0000 0.9816
O 0.2607 0.5000 0.5147
O 0.3993 0.5000 0.8232
O 0.4249 0.0000 0.3424
O 0.5751 0.0000 0.6576
O 0.6007 0.5000 0.1768
O 0.7393 0.5000 0.4853
O 0.7581 0.0000 0.0184
O 0.9046 0.0000 0.3157
O 0.9347 0.5000 0.8303

Computed properties:
Space-group type: P2/m
Energy above the lowest structure with this stoichiometry, eV/atom: 0.030
Formation enthalpy at 0 K, eV/atom: -1.90
Magnetization, μB/atom: 0.250

[3]
Crystalline Li4MnCo2O7 at its relaxed geometry, computed with PBE with a Hubbard U.

Lattice parameters (Å, degrees): 5.1315 7.6696 7.7467 60.62 83.75 71.33
Fractional positions:
Li 0.0000 0.0000 0.0000
Li 0.0013 0.7175 0.8533
Li 0.0065 0.8530 0.4355
Li 0.0079 0.4304 0.7032
Li 0.5000 0.5000 0.5000
Li 0.9921 0.5696 0.2968
Li 0.9935 0.1470 0.5645
Li 0.9987 0.2825 0.1467
Mn 0.4942 0.3587 0.9254
Mn 0.5058 0.6413 0.0746
Co 0.4923 0.2197 0.3672
Co 0.4955 0.9240 0.2222
Co 0.5045 0.0760 0.7778
Co 0.5077 0.7803 0.6328
O 0.2583 0.3076 0.5317
O 0.2617 0.0257 0.3985
O 0.2703 0.1862 0.9628
O 0.2729 0.5924 0.6983
O 0.2764 0.7567 0.2318
O 0.2804 0.4670 0.0986
O 0.2895 0.8824 0.8298
O 0.7105 0.1176 0.1702
O 0.7196 0.5330 0.9014
O 0.7236 0.2433 0.7682
O 0.7271 0.4076 0.3017
O 0.7297 0.8138 0.0372
O 0.7383 0.9743 0.6015
O 0.7417 0.6924 0.4683

Computed properties:
Space-group type: P-1
Energy above the lowest structure with this stoichiometry, eV/atom: 0.023
Formation enthalpy at 0 K, eV/atom: -1.86
Magnetization, μB/atom: 0.214

[4]
Crystalline Li5Mn2CoO8 at its relaxed geometry, computed with PBE with a Hubbard U.

Lattice parameters (Å, degrees): 5.1457 2.8763 9.8664 90.00 99.81 90.00
Fractional positions:
Li 0.0000 0.0000 0.0000
Li 0.2082 0.5000 0.2176
Li 0.2565 0.0000 0.7654
Li 0.7435 0.0000 0.2346
Li 0.7918 0.5000 0.7824
Mn 0.0000 0.5000 0.5000
Mn 0.5000 0.5000 0.0000
Co 0.5000 0.0000 0.5000
O 0.0986 0.0000 0.3861
O 0.1600 0.5000 0.8849
O 0.3578 0.5000 0.6023
O 0.3850 0.0000 0.1121
O 0.6150 0.0000 0.8879
O 0.6422 0.5000 0.3977
O 0.8400 0.5000 0.1151
O 0.9014 0.0000 0.6139

Computed properties:
Space-group type: P2/m
Energy above the lowest structure with this stoichiometry, eV/atom: 0.062
Formation enthalpy at 0 K, eV/atom: -1.97
Magnetization, μB/atom: 0.125

[5]
Crystalline Li7Mn2Co3O12 at its relaxed geometry, computed with PBE with a Hubbard U.

Lattice parameters (Å, degrees): 7.7110 7.7110 9.9205 101.73 101.73 22.16
Fractional positions:
Li 0.0000 0.0000 0.0000
Li 0.1673 0.1673 0.5422
Li 0.3271 0.3271 0.9900
Li 0.5012 0.5012 0.5296
Li 0.6614 0.6614 0.0054
Li 0.7481 0.7481 0.7706
Li 0.8353 0.8353 0.5397
Mn 0.2462 0.2462 0.2688
Mn 0.9153 0.9153 0.2652
Co 0.0899 0.0899 0.7650
Co 0.4116 0.4116 0.7698
Co 0.5812 0.5812 0.2707
O 0.0304 0.0304 0.3796
O 0.1297 0.1297 0.1582
O 0.1958 0.1958 0.8899
O 0.3051 0.3051 0.6538
O 0.3738 0.3738 0.3703
O 0.4447 0.4447 0.1549
O 0.5298 0.5298 0.8785
O 0.6219 0.6219 0.6448
O 0.7180 0.7180 0.3825
O 0.7874 0.7874 0.1628
O 0.8774 0.8774 0.8875
O 0.9612 0.9612 0.6566

Computed properties:
Space-group type: Cm
Energy above the lowest structure with this stoichiometry, eV/atom: 0.086
Formation enthalpy at 0 K, eV/atom: -1.85
Magnetization, μB/atom: 0.667

[6]
Crystalline Li4MnCo2O7 at its relaxed geometry, computed with PBE with a Hubbard U.

Lattice parameters (Å, degrees): 2.9714 5.9650 14.3018 82.93 84.53 85.91
Fractional positions:
Li 0.0000 0.0000 0.0000
Li 0.0111 0.5183 0.9991
Li 0.1464 0.0790 0.7193
Li 0.2915 0.6508 0.4331
Li 0.4393 0.2186 0.1421
Li 0.5727 0.7982 0.8667
Li 0.7180 0.3662 0.5782
Li 0.8605 0.9333 0.2902
Mn 0.2906 0.1499 0.4330
Mn 0.4400 0.7294 0.1415
Co 0.1492 0.5793 0.7200
Co 0.5699 0.2835 0.8671
Co 0.7168 0.8611 0.5771
Co 0.8733 0.4405 0.2898
O 0.0483 0.0641 0.8598
O 0.1044 0.5321 0.8540
O 0.1891 0.6222 0.5835
O 0.2465 0.1038 0.5720
O 0.3345 0.1994 0.2920
O 0.3970 0.6740 0.2835
O 0.4945 0.7518 0.0138
O 0.5141 0.2653 0.9899
O 0.6173 0.3405 0.7292
O 0.6773 0.8166 0.7116
O 0.7576 0.9035 0.4393
O 0.8224 0.3967 0.4260
O 0.9112 0.9420 0.1467
O 0.9554 0.4985 0.1522

Computed properties:
Space-group type: P1
Energy above the lowest structure with this stoichiometry, eV/atom: 0.061
Formation enthalpy at 0 K, eV/atom: -1.82
Magnetization, μB/atom: 0.304

[7]
Crystalline Li4MnCo2O7 at its relaxed geometry, computed with PBE with a Hubbard U.

Lattice parameters (Å, degrees): 6.5530 6.5747 6.6181 72.10 71.39 72.07
Fractional positions:
Li 0.0000 0.0000 0.0000
Li 0.0672 0.7888 0.6391
Li 0.2075 0.3463 0.9366
Li 0.3462 0.9373 0.2024
Li 0.5011 0.4953 0.5028
Li 0.6449 0.0702 0.7859
Li 0.7877 0.6461 0.0677
Li 0.9280 0.2118 0.3515
Mn 0.1409 0.5747 0.2813
Mn 0.4240 0.7153 0.8573
Co 0.2830 0.1390 0.5772
Co 0.5839 0.2801 0.1389
Co 0.7145 0.8624 0.4102
Co 0.8581 0.4199 0.7135
O 0.0334 0.8693 0.3247
O 0.1261 0.6716 0.9769
O 0.1711 0.4661 0.5842
O 0.2582 0.2679 0.2514
O 0.3296 0.0164 0.8802
O 0.3931 0.8153 0.5607
O 0.4445 0.6105 0.1637
O 0.5352 0.4082 0.8259
O 0.5935 0.1731 0.4616
O 0.6684 0.9628 0.1260
O 0.7330 0.7367 0.7423
O 0.8396 0.5414 0.3852
O 0.8734 0.3247 0.0332
O 0.9705 0.1263 0.6708

Computed properties:
Space-group type: P1
Energy above the lowest structure with this stoichiometry, eV/atom: 0.033
Formation enthalpy at 0 K, eV/atom: -1.85
Magnetization, μB/atom: 0.786